Record 1
# Rb2Cu4H5S4O20

A relaxed structure of Rb2Cu4H5S4O20 (PBE-GGA, the Materials Project).

Output
formation energy from the elements	-1567	meV per atom
size of the total moment	1.00	μB/f.u.

CIF file:
```
data_Rb2Cu4H5S4O20
_cell_length_a 6.5058
_cell_length_b 7.9903
_cell_length_c 8.7638
_cell_angle_alpha 67.36
_cell_angle_beta 89.50
_cell_angle_gamma 88.64
_space_group_name_H-M_alt 'P -1'
_space_group_IT_number 2
loop_
_space_group_symop_operation_xyz
'x,y,z'
'-x,-y,-z'
loop_
_atom_site_label
_atom_site_type_symbol
_atom_site_fract_x
_atom_site_fract_y
_atom_site_fract_z
Rb1 Rb 0.0000 0.0000 0.0000
Rb2 Rb 0.5000 0.5000 0.5000
Cu1 Cu 0.2473 0.7481 0.7486
Cu2 Cu 0.2489 0.2463 0.2552
H1 H 0.0001 0.4874 0.1992
H2 H 0.4954 0.9972 0.7062
H3 H 0.5000 0.0000 0.5000
S1 S 0.0025 0.7896 0.4250
S2 S 0.4988 0.7098 0.0709
O1 O 0.0015 0.0131 0.6727
O2 O 0.0033 0.3810 0.1681
O3 O 0.0047 0.6833 0.3213
O4 O 0.1911 0.2596 0.4680
O5 O 0.1923 0.7387 0.5332
O6 O 0.3094 0.7619 0.9626
O7 O 0.3107 0.2391 0.0379
O8 O 0.4972 0.4877 0.8288
O9 O 0.4966 0.8156 0.1758
O10 O 0.4993 0.9100 0.6509
```

---

Record 2
# RbCu2H3S2O10

A relaxed structure of RbCu2H3S2O10 (PBE-GGA, the Materials Project).

Output
formation energy from the elements	-1581	meV per atom
size of the total moment	2.00	μB/f.u.

CIF file:
```
data_RbCu2H3S2O10
_cell_length_a 9.2364
_cell_length_b 6.5256
_cell_length_c 8.0115
_cell_angle_alpha 90.00
_cell_angle_beta 118.21
_cell_angle_gamma 90.00
_space_group_name_H-M_alt 'C 1 m 1'
_space_group_IT_number 8
loop_
_space_group_symop_operation_xyz
'x,y,z'
'x,-y,z'
'x+1/2,y+1/2,z'
'x+1/2,-y+1/2,z'
loop_
_atom_site_label
_atom_site_type_symbol
_atom_site_fract_x
_atom_site_fract_y
_atom_site_fract_z
Rb1 Rb 0.0000 0.0000 0.0000
Cu1 Cu 0.2450 0.2492 0.5040
H1 H 0.1981 0.0000 0.7060
H2 H 0.2982 0.5000 0.2844
H3 H 0.4736 0.5000 0.4827
S1 S 0.0710 0.5000 0.7773
S2 S 0.4270 0.0000 0.2227
O1 O 0.0350 0.3103 0.2799
O2 O 0.1580 0.0000 0.5676
O3 O 0.1712 0.5000 0.9842
O4 O 0.1764 0.5000 0.6834
O5 O 0.3226 0.0000 0.3166
O6 O 0.3286 0.0000 0.0156
O7 O 0.3442 0.5000 0.4237
O8 O 0.4642 0.1900 0.7191
```

---

Record 3
# Rb2Cu4H5S4O20

A relaxed structure of Rb2Cu4H5S4O20 (PBE-GGA, the Materials Project).

Output
formation energy from the elements	-1256	meV per atom
size of the total moment	3.01	μB/f.u.

CIF file:
```
data_Rb2Cu4H5S4O20
_cell_length_a 7.0429
_cell_length_b 8.0263
_cell_length_c 9.1276
_cell_angle_alpha 83.47
_cell_angle_beta 78.36
_cell_angle_gamma 88.24
_space_group_name_H-M_alt 'P -1'
_space_group_IT_number 2
loop_
_space_group_symop_operation_xyz
'x,y,z'
'-x,-y,-z'
loop_
_atom_site_label
_atom_site_type_symbol
_atom_site_fract_x
_atom_site_fract_y
_atom_site_fract_z
Rb1 Rb 0.0000 0.0000 0.0000
Rb2 Rb 0.5000 0.5000 0.5000
Cu1 Cu 0.0102 0.3912 0.3975
Cu2 Cu 0.2560 0.7706 0.2569
H1 H 0.1363 0.4967 0.8129
H2 H 0.3827 0.9868 0.7539
H3 H 0.5000 0.0000 0.0000
S1 S 0.1491 0.0184 0.5156
S2 S 0.3557 0.4822 0.0743
O1 O 0.0842 0.6181 0.3864
O2 O 0.1390 0.0068 0.6780
O3 O 0.1496 0.5940 0.7368
O4 O 0.2020 0.1824 0.4324
O5 O 0.2534 0.3728 0.0010
O6 O 0.2618 0.8759 0.4488
O7 O 0.2662 0.6574 0.0744
O8 O 0.3977 0.4226 0.2209
O9 O 0.4477 0.9334 0.1280
O10 O 0.4909 0.9336 0.7961
```

---

Record 4
# CuRe2H8O12

A relaxed structure of CuRe2H8O12 (PBE-GGA, the Materials Project).

Output
formation energy from the elements	-1578	meV per atom
size of the total moment	1.00	μB/f.u.

CIF file:
```
data_CuRe2H8O12
_cell_length_a 6.8638
_cell_length_b 7.1178
_cell_length_c 7.2958
_cell_angle_alpha 118.20
_cell_angle_beta 93.18
_cell_angle_gamma 108.47
_space_group_name_H-M_alt 'P -1'
_space_group_IT_number 2
loop_
_space_group_symop_operation_xyz
'x,y,z'
'-x,-y,-z'
loop_
_atom_site_label
_atom_site_type_symbol
_atom_site_fract_x
_atom_site_fract_y
_atom_site_fract_z
Cu1 Cu 0.0000 0.0000 0.0000
Re1 Re 0.4364 0.6408 0.3119
H1 H 0.1076 0.1483 0.7356
H2 H 0.1207 0.0593 0.3696
H3 H 0.2325 0.7677 0.9613
H4 H 0.2481 0.8205 0.7694
O1 O 0.0204 0.9301 0.2293
O2 O 0.1583 0.7996 0.8652
O3 O 0.2824 0.2462 0.6175
O4 O 0.3351 0.3478 0.2318
O5 O 0.3473 0.7939 0.5343
O6 O 0.3498 0.6658 0.0973
```

---

Record 5
# CuH10SO9

A relaxed structure of CuH10SO9 (PBE-GGA, the Materials Project).

Output
formation energy from the elements	-1344	meV per atom
size of the total moment	1.00	μB/f.u.

CIF file:
```
data_CuH10SO9
_cell_length_a 5.9709
_cell_length_b 6.0572
_cell_length_c 10.8374
_cell_angle_alpha 77.61
_cell_angle_beta 82.36
_cell_angle_gamma 72.98
_space_group_name_H-M_alt 'P -1'
_space_group_IT_number 2
loop_
_space_group_symop_operation_xyz
'x,y,z'
'-x,-y,-z'
loop_
_atom_site_label
_atom_site_type_symbol
_atom_site_fract_x
_atom_site_fract_y
_atom_site_fract_z
Cu1 Cu 0.0000 0.0000 0.0000
Cu2 Cu 0.0000 0.5000 0.5000
H1 H 0.0646 0.2029 0.7028
H2 H 0.1204 0.3038 0.0991
H3 H 0.1644 0.6391 0.8808
H4 H 0.2358 0.7827 0.5094
H5 H 0.2543 0.6005 0.6419
H6 H 0.3062 0.9056 0.3048
H7 H 0.3226 0.1673 0.6273
H8 H 0.3368 0.1042 0.3695
H9 H 0.3431 0.1832 0.8766
H10 H 0.4307 0.8949 0.8927
S1 S 0.3771 0.5081 0.2150
O1 O 0.0192 0.7419 0.9169
O2 O 0.1484 0.6884 0.5745
O3 O 0.1497 0.2063 0.6179
O4 O 0.2046 0.7436 0.1898
O5 O 0.2965 0.0344 0.9039
O6 O 0.3361 0.3913 0.3482
O7 O 0.3619 0.3593 0.1246
O8 O 0.3739 0.9300 0.3772
O9 O 0.3785 0.4588 0.8023
```

---

Record 6
# Cu5H14S2O18

A relaxed structure of Cu5H14S2O18 (PBE-GGA, the Materials Project).

Output
formation energy from the elements	-1284	meV per atom
size of the total moment	4.99	μB/f.u.

CIF file:
```
data_Cu5H14S2O18
_cell_length_a 5.6218
_cell_length_b 6.1058
_cell_length_c 11.2676
_cell_angle_alpha 91.54
_cell_angle_beta 103.67
_cell_angle_gamma 91.73
_space_group_name_H-M_alt 'P -1'
_space_group_IT_number 2
loop_
_space_group_symop_operation_xyz
'x,y,z'
'-x,-y,-z'
loop_
_atom_site_label
_atom_site_type_symbol
_atom_site_fract_x
_atom_site_fract_y
_atom_site_fract_z
Cu1 Cu 0.0000 0.0000 0.0000
Cu2 Cu 0.0000 0.0000 0.5000
Cu3 Cu 0.0000 0.5000 0.0000
Cu4 Cu 0.5002 0.2505 0.9988
H1 H 0.1324 0.6256 0.4183
H2 H 0.1512 0.7541 0.1763
H3 H 0.2322 0.5040 0.8343
H4 H 0.2516 0.0041 0.8297
H5 H 0.2666 0.6617 0.5649
H6 H 0.3409 0.2572 0.6379
H7 H 0.4438 0.0172 0.6324
S1 S 0.2979 0.3282 0.2808
O1 O 0.0992 0.4754 0.2974
O2 O 0.1486 0.7234 0.4935
O3 O 0.1593 0.7600 0.0906
O4 O 0.2569 0.2700 0.1474
O5 O 0.2842 0.4963 0.9240
O6 O 0.2879 0.0000 0.9192
O7 O 0.2925 0.0994 0.6368
O8 O 0.2951 0.1245 0.3504
O9 O 0.4578 0.5520 0.6764
```

---

Record 7
# Cu3H4SO8

A relaxed structure of Cu3H4SO8 (PBE-GGA, the Materials Project).

Output
formation energy from the elements	-1260	meV per atom
size of the total moment	3.00	μB/f.u.

CIF file:
```
data_Cu3H4SO8
_cell_length_a 8.3454
_cell_length_b 6.1357
_cell_length_c 12.2996
_cell_angle_alpha 90.00
_cell_angle_beta 90.00
_cell_angle_gamma 90.00
_space_group_name_H-M_alt 'P n m a'
_space_group_IT_number 62
loop_
_space_group_symop_operation_xyz
'x,y,z'
'-x,-y,-z'
'-x+1/2,-y,z+1/2'
'x+1/2,y,-z+1/2'
'x+1/2,-y+1/2,-z+1/2'
'-x+1/2,y+1/2,z+1/2'
'-x,y+1/2,-z'
'x,-y+1/2,z'
loop_
_atom_site_label
_atom_site_type_symbol
_atom_site_fract_x
_atom_site_fract_y
_atom_site_fract_z
Cu1 Cu 0.9999 0.2500 0.0037
Cu2 Cu 0.2084 0.0037 0.3732
H1 H 0.0128 0.5258 0.1685
H2 H 0.1329 0.2500 0.5256
H3 H 0.2152 0.2500 0.7281
S1 S 0.1301 0.7500 0.6354
O1 O 0.0309 0.5467 0.6518
O2 O 0.0497 0.0117 0.8987
O3 O 0.1942 0.7500 0.2789
O4 O 0.1968 0.7500 0.5230
O5 O 0.2204 0.2500 0.4728
O6 O 0.2388 0.2500 0.2164
```

---

Record 8
# CuH6SO7

A relaxed structure of CuH6SO7 (PBE-GGA, the Materials Project).

Output
formation energy from the elements	-1377	meV per atom
size of the total moment	1.00	μB/f.u.
maximum piezoelectric response	0.80	C/m²

CIF file:
```
data_CuH6SO7
_cell_length_a 5.5523
_cell_length_b 13.7942
_cell_length_c 7.2283
_cell_angle_alpha 90.00
_cell_angle_beta 99.61
_cell_angle_gamma 90.00
_space_group_name_H-M_alt 'C 1 c 1'
_space_group_IT_number 9
loop_
_space_group_symop_operation_xyz
'x,y,z'
'x,-y,z+1/2'
'x+1/2,y+1/2,z'
'x+1/2,-y+1/2,z+1/2'
loop_
_atom_site_label
_atom_site_type_symbol
_atom_site_fract_x
_atom_site_fract_y
_atom_site_fract_z
Cu1 Cu 0.0000 0.1390 0.0000
H1 H 0.0636 0.0934 0.3584
H2 H 0.0678 0.3123 0.5136
H3 H 0.2101 0.3029 0.7225
H4 H 0.2998 0.1554 0.3225
H5 H 0.3364 0.0855 0.7945
H6 H 0.3829 0.0399 0.9997
S1 S 0.2196 0.3933 0.0759
O1 O 0.0115 0.4517 0.1220
O2 O 0.1270 0.3203 0.9277
O3 O 0.1622 0.1145 0.2607
O4 O 0.2273 0.2932 0.5872
O5 O 0.3145 0.0993 0.9263
O6 O 0.3292 0.3346 0.2447
O7 O 0.4052 0.4568 0.0124
```

---

Record 9
# CuH6SO7

A relaxed structure of CuH6SO7 (PBE-GGA, the Materials Project).

Output
formation energy from the elements	-1378	meV per atom
size of the total moment	1.01	μB/f.u.

CIF file:
```
data_CuH6SO7
_cell_length_a 5.6029
_cell_length_b 13.4465
_cell_length_c 7.3201
_cell_angle_alpha 90.00
_cell_angle_beta 96.09
_cell_angle_gamma 90.00
_space_group_name_H-M_alt 'C 1 c 1'
_space_group_IT_number 9
loop_
_space_group_symop_operation_xyz
'x,y,z'
'x,-y,z+1/2'
'x+1/2,y+1/2,z'
'x+1/2,-y+1/2,z+1/2'
loop_
_atom_site_label
_atom_site_type_symbol
_atom_site_fract_x
_atom_site_fract_y
_atom_site_fract_z
Cu1 Cu 0.0000 0.1354 0.0000
H1 H 0.1211 0.4696 0.5053
H2 H 0.1468 0.4158 0.7022
H3 H 0.2637 0.3003 0.2150
H4 H 0.2967 0.1875 0.7743
H5 H 0.4274 0.3890 0.1437
H6 H 0.4373 0.1695 0.9764
S1 S 0.2686 0.1145 0.4193
O1 O 0.0894 0.0462 0.4864
O2 O 0.1644 0.1677 0.2465
O3 O 0.1840 0.4078 0.5724
O4 O 0.2848 0.1939 0.9101
O5 O 0.3288 0.1944 0.5563
O6 O 0.3340 0.3668 0.2445
O7 O 0.4862 0.0589 0.3781
```

---

Record 10
# CuH10SO9

A relaxed structure of CuH10SO9 (PBE-GGA, the Materials Project).

Output
formation energy from the elements	-1069	meV per atom
size of the total moment	2.00	μB/f.u.

CIF file:
```
data_CuH10SO9
_cell_length_a 5.8802
_cell_length_b 6.8011
_cell_length_c 11.8609
_cell_angle_alpha 100.52
_cell_angle_beta 100.20
_cell_angle_gamma 97.31
_space_group_name_H-M_alt 'P -1'
_space_group_IT_number 2
loop_
_space_group_symop_operation_xyz
'x,y,z'
'-x,-y,-z'
loop_
_atom_site_label
_atom_site_type_symbol
_atom_site_fract_x
_atom_site_fract_y
_atom_site_fract_z
Cu1 Cu 0.0000 0.0000 0.0000
Cu2 Cu 0.0000 0.0000 0.5000
H1 H 0.0226 0.3239 0.4481
H2 H 0.0319 0.8349 0.7252
H3 H 0.0355 0.3249 0.9459
H4 H 0.0497 0.7107 0.8297
H5 H 0.2692 0.1366 0.2338
H6 H 0.3343 0.2105 0.0687
H7 H 0.4173 0.5930 0.3284
H8 H 0.4487 0.2830 0.0871
H9 H 0.4705 0.7503 0.6837
H10 H 0.4968 0.0001 0.7393
S1 S 0.2644 0.3409 0.7393
O1 O 0.0196 0.1753 0.1956
O2 O 0.0474 0.2519 0.6516
O3 O 0.0596 0.8089 0.5964
O4 O 0.0887 0.7781 0.0454
O5 O 0.2291 0.4996 0.8306
O6 O 0.3972 0.1917 0.7809
O7 O 0.4219 0.1189 0.2877
O8 O 0.4370 0.4637 0.6688
O9 O 0.4528 0.0739 0.5174
```